Record 1
Here is an optimized crystal structure of SmDyNi4O12 from the Materials Project. Energies are from PBE+U.

Summary:
Space-group type: No. 65
Total moment (μB/cell): 2.000
Energy with MP2020 corrections (eV per atom): -6.4037

Cell lengths 5.141, 5.141, 7.944 Å; angles 90.00, 90.00, 90.14 degrees
Fractional coordinates of all 18 atoms:
O (0.677, 0.323, 0.742)
O (0.677, 0.323, 0.258)
O (0.180, 0.180, 0.250)
O (0.323, 0.677, 0.258)
O (0.500, 0.000, 0.000)
O (0.820, 0.820, 0.250)
O (0.500, 0.000, 0.500)
O (0.180, 0.180, 0.750)
O (0.820, 0.820, 0.750)
O (0.000, 0.500, 0.000)
O (0.323, 0.677, 0.742)
O (0.000, 0.500, 0.500)
Ni (0.000, 0.500, 0.749)
Ni (0.500, 0.000, 0.749)
Ni (0.000, 0.500, 0.251)
Ni (0.500, 0.000, 0.251)
Dy (0.500, 0.500, 0.500)
Sm (0.000, 0.000, 0.000)

Record 2
Here is an optimized crystal structure of Li2VPO4F from the Materials Project. Energies are from PBE+U.

Summary:
Space-group type: No. 1
Total moment (μB/cell): 0.000
Energy with MP2020 corrections (eV per atom): -7.1541

Cell lengths 5.423, 5.438, 7.448 Å; angles 106.94, 106.76, 95.27 degrees
Fractional coordinates of all 18 atoms:
Li (0.872, 0.539, 0.151)
Li (0.417, 0.763, 0.848)
Li (0.010, 0.503, 0.524)
Li (0.551, 0.191, 0.166)
O (0.214, 0.726, 0.376)
O (0.744, 0.630, 0.910)
O (0.263, 0.375, 0.093)
O (0.771, 0.273, 0.607)
O (0.350, 0.855, 0.114)
O (0.676, 0.672, 0.338)
O (0.332, 0.345, 0.657)
O (0.655, 0.161, 0.889)
V (0.999, 0.003, 0.994)
V (0.007, 0.012, 0.503)
P (0.626, 0.344, 0.758)
P (0.378, 0.660, 0.234)
F (0.914, 0.177, 0.268)
F (0.088, 0.842, 0.729)

Record 3
Here is an optimized crystal structure of MgVSbO4 from the Materials Project. Energies are from PBE+U.

Summary:
Space-group type: No. 38
Total moment (μB/cell): 2.000
Energy with MP2020 corrections (eV per atom): -6.9372

Cell lengths 3.154, 5.656, 5.656 Å; angles 76.46, 90.00, 90.00 degrees
Fractional coordinates of all 7 atoms:
O (0.000, 0.320, 0.320)
O (0.500, 0.832, 0.179)
O (0.000, 0.711, 0.711)
O (0.500, 0.179, 0.832)
Mg (0.500, 0.194, 0.194)
V (0.000, 0.926, 0.926)
Sb (0.500, 0.532, 0.532)

Record 4
Here is an optimized crystal structure of LiMnSiO4 from the Materials Project. Energies are from PBE+U.

Summary:
Space-group type: No. 74
Total moment (μB/cell): 8.000
Energy with MP2020 corrections (eV per atom): -7.7513

Cell lengths 5.886, 5.886, 5.886 Å; angles 124.89, 121.23, 84.81 degrees
Fractional coordinates of all 14 atoms:
O (0.788, 0.774, 0.486)
O (0.212, 0.753, 0.459)
O (0.212, 0.226, 0.514)
O (0.788, 0.301, 0.014)
O (0.788, 0.247, 0.541)
O (0.206, 0.247, 0.959)
O (0.794, 0.753, 0.041)
O (0.212, 0.699, 0.986)
Si (0.000, 0.500, 0.000)
Si (0.000, 0.000, 0.500)
Mn (0.000, 0.500, 0.500)
Mn (0.500, 0.500, 0.000)
Li (0.368, 0.118, 0.250)
Li (0.632, 0.882, 0.750)

Record 5
Here is an optimized crystal structure of Sr2VMoO6 from the Materials Project. Energies are from PBE+U.

Summary:
Space-group type: No. 2
Total moment (μB/cell): 6.000
Energy with MP2020 corrections (eV per atom): -8.0543

Cell lengths 5.673, 5.706, 7.915 Å; angles 89.99, 90.00, 89.93 degrees
Fractional coordinates of all 20 atoms:
O (0.503, 0.452, 0.762)
O (0.250, 0.250, 0.020)
O (0.750, 0.750, 0.533)
O (0.251, 0.751, 0.538)
O (0.250, 0.750, 0.977)
O (0.249, 0.251, 0.467)
O (0.003, 0.952, 0.238)
O (0.497, 0.548, 0.238)
O (0.750, 0.750, 0.980)
O (0.997, 0.048, 0.762)
O (0.749, 0.249, 0.462)
O (0.750, 0.250, 0.023)
Mo (0.500, 0.500, 0.500)
Mo (0.000, 0.000, 0.500)
Sr (0.500, 0.003, 0.231)
Sr (0.000, 0.497, 0.231)
Sr (0.000, 0.503, 0.769)
Sr (0.500, 0.997, 0.769)
V (0.000, 0.000, 0.000)
V (0.500, 0.500, 0.000)

Record 6
Here is an optimized crystal structure of Sm2TiMnO6 from the Materials Project. Energies are from PBE+U.

Summary:
Space-group type: No. 14
Total moment (μB/cell): 10.001
Energy with MP2020 corrections (eV per atom): -9.0543

Cell lengths 5.783, 5.469, 9.580 Å; angles 55.49, 90.00, 90.00 degrees
Fractional coordinates of all 20 atoms:
O (0.684, 0.653, 0.054)
O (0.316, 0.347, 0.946)
O (0.544, 0.876, 0.237)
O (0.711, 0.244, 0.437)
O (0.289, 0.756, 0.563)
O (0.211, 0.756, 0.063)
O (0.816, 0.653, 0.554)
O (0.044, 0.124, 0.263)
O (0.956, 0.876, 0.737)
O (0.789, 0.244, 0.937)
O (0.184, 0.347, 0.446)
O (0.456, 0.124, 0.763)
Sm (0.935, 0.730, 0.252)
Sm (0.435, 0.270, 0.248)
Sm (0.565, 0.730, 0.752)
Sm (0.065, 0.270, 0.748)
Mn (0.500, 0.500, 0.500)
Mn (0.000, 0.500, 0.000)
Ti (0.000, 0.000, 0.500)
Ti (0.500, 0.000, 0.000)